Below is PrCo2B2C after structural relaxation, with properties calculated at the GGA-PBE level.

Computed properties:
Spin magnetization, Bohr magnetons per cell: 0.1
Final energy, eV/f.u.: -43.61

Cell: 3.687 3.687 10.081 Å, 90.00 90.00 90.00°
Space group I4/mmm (No. 139)
Unique sites:
Pr 0.000 0.000 0.000 x2
Co 0.000 0.500 0.250 x4
B 0.000 0.000 0.350 x4
C 0.000 0.000 0.500 x2



Below is TbCo2B2C after structural relaxation, with properties calculated at the GGA-PBE level.

Computed properties:
Spin magnetization, Bohr magnetons per cell: 0.6
Final energy, eV/f.u.: -44.08

Cell: 3.549 3.549 10.280 Å, 90.00 90.00 90.00°
Space group I4/mmm (No. 139)
Unique sites:
Tb 0.000 0.000 0.000 x2
Co 0.000 0.500 0.250 x4
B 0.000 0.000 0.354 x4
C 0.000 0.000 0.500 x2



Below is TmCo2B2C after structural relaxation, with properties calculated at the GGA-PBE level.

Computed properties:
Spin magnetization, Bohr magnetons per cell: 0.2
Final energy, eV/f.u.: -44.04

Cell: 3.483 3.483 10.401 Å, 90.00 90.00 90.00°
Space group I4/mmm (No. 139)
Unique sites:
Tm 0.000 0.000 0.000 x2
Co 0.000 0.500 0.250 x4
B 0.000 0.000 0.356 x4
C 0.000 0.000 0.500 x2



Respective formation enthalpy at 0 K values: -338, -440, -460 meV per atom.
Respective calculated density values: 7.09, 7.96, 8.43 g cm⁻³.